Below is crystalline RbVCuF6 at its relaxed geometry, with properties calculated at the PBE+U level.

Calculated values
Its total magnetization is 7.1 Bohr magnetons per cell.

Structure (CIF):
```
data_RbVCuF6
_symmetry_space_group_name_H-M 'P n m a'
_symmetry_Int_Tables_number 62
_symmetry_space_group_name_Hall '-P 2ac 2n'
_cell_length_a 6.971
_cell_length_b 7.667
_cell_length_c 10.452
_cell_angle_alpha 90.00
_cell_angle_beta 90.00
_cell_angle_gamma 90.00
loop_
_atom_site_label
_atom_site_type_symbol
_atom_site_fract_x
_atom_site_fract_y
_atom_site_fract_z
Rb1 Rb 0.010 0.250 0.124
V1 V 0.000 0.000 0.500
Cu1 Cu 0.209 0.250 0.756
F1 F 0.046 0.750 0.175
F2 F 0.070 0.250 0.485
F3 F 0.148 0.509 0.656
F4 F 0.230 0.550 0.403
```

***

Below is crystalline EuMgFeO3 at its relaxed geometry, with properties calculated at the PBE+U level.

Calculated values
Its total magnetization is 11.0 Bohr magnetons per cell. The energy above the most stable polymorph in this dataset is 0 meV per atom.

Structure (CIF):
```
data_EuMgFeO3
_symmetry_space_group_name_H-M 'P 1'
_symmetry_Int_Tables_number 1
_symmetry_space_group_name_Hall 'P 1'
_cell_length_a 4.442
_cell_length_b 4.474
_cell_length_c 4.492
_cell_angle_alpha 82.36
_cell_angle_beta 82.63
_cell_angle_gamma 82.76
loop_
_atom_site_label
_atom_site_type_symbol
_atom_site_fract_x
_atom_site_fract_y
_atom_site_fract_z
Eu1 Eu 0.000 0.000 0.000
Mg1 Mg 0.626 0.621 0.619
Fe1 Fe 0.334 0.330 0.329
O1 O 0.355 0.349 0.850
O2 O 0.355 0.850 0.348
O3 O 0.854 0.351 0.350
```

***

Across the entries above, total DFT energy (no corrections) takes the values -183.0 -43.3 eV/cell, respectively.